[1]
The following is a PBE calculation of crystalline VFe3Si4 at its relaxed geometry, from Materials Project.

a b c (Å): 4.5308 4.5308 4.5308
angles (deg): 89.49 89.49 89.49
Sites, in units of the cell vectors:
Si1 0.1508 0.8567 0.6607
Si2 0.3340 0.3340 0.3340
Si3 0.6607 0.1508 0.8567
Si4 0.8567 0.6607 0.1508
V1 0.6361 0.6361 0.6361
Fe1 0.8532 0.1380 0.3704
Fe2 0.3704 0.8532 0.1380
Fe3 0.1380 0.3704 0.8532

Calculated values
For the energy with MP2020 corrections, the calculation gives -59.51 eV per cell. The formation enthalpy at 0 K comes out at -320 kJ/mol of formula units. As for the total energy: -7.4739 eV per atom.

[2]
The following is a PBE calculation of crystalline RbNbAsClO5 at its relaxed geometry, from Materials Project.

a b c (Å): 6.7844 6.7844 7.8862
angles (deg): 90.00 90.00 90.00
Sites, in units of the cell vectors:
O1 0.8023 0.0000 0.8638
O2 0.0000 0.1977 0.1362
O3 0.6977 0.5000 0.1362
O4 0.3023 0.5000 0.1362
O5 0.0000 0.8023 0.1362
O6 0.5000 0.0000 0.1202
O7 0.0000 0.5000 0.8798
O8 0.5000 0.3023 0.8638
O9 0.1977 0.0000 0.8638
O10 0.5000 0.6977 0.8638
Rb1 0.0000 0.0000 0.5000
Rb2 0.5000 0.5000 0.5000
Cl1 0.5000 0.0000 0.5571
Cl2 0.0000 0.5000 0.4429
As1 0.5000 0.5000 0.0000
As2 0.0000 0.0000 0.0000
Nb1 0.5000 0.0000 0.8990
Nb2 0.0000 0.5000 0.1010

Calculated values
For the energy with MP2020 corrections, the calculation gives -125.40 eV per cell. The formation enthalpy at 0 K comes out at -1966 kJ/mol of formula units. As for the total energy: -6.5850 eV per atom.

[3]
The following is a PBE calculation of crystalline LiO2 at its relaxed geometry, from Materials Project.

a b c (Å): 2.9611 3.9857 4.8961
angles (deg): 90.00 90.00 90.00
Sites, in units of the cell vectors:
Li1 0.5000 0.5000 0.5000
Li2 0.0000 0.0000 0.0000
O1 0.0000 0.1319 0.4144
O2 0.5000 0.6319 0.0856
O3 0.0000 0.8681 0.5856
O4 0.5000 0.3681 0.9144

Calculated values
The value obtained for the offset from the most stable computed form is 0.0 meV/atom. For the energy with MP2020 corrections, the calculation gives -29.87 eV per cell. The formation enthalpy at 0 K comes out at -302 kJ/mol of formula units. As for the total energy: -4.8705 eV per atom.

[4]
The following is a PBE calculation of crystalline Ca4Sb2O at its relaxed geometry, from Materials Project.

a b c (Å): 4.7107 4.7107 8.8447
angles (deg): 105.44 105.44 90.00
Sites, in units of the cell vectors:
O1 0.5000 0.5000 0.0000
Sb1 0.1395 0.1395 0.2791
Sb2 0.8605 0.8605 0.7209
Ca1 0.0000 0.5000 0.0000
Ca2 0.6653 0.6653 0.3306
Ca3 0.3347 0.3347 0.6694
Ca4 0.5000 0.0000 0.0000

Calculated values
For the energy with MP2020 corrections, the calculation gives -33.32 eV per cell. The formation enthalpy at 0 K comes out at -1166 kJ/mol of formula units. As for the total energy: -4.6614 eV per atom.

[5]
The following is a PBE calculation of crystalline NaNdAu2 at its relaxed geometry, from Materials Project.

a b c (Å): 5.1109 5.1109 5.1109
angles (deg): 60.00 60.00 60.00
Sites, in units of the cell vectors:
Na1 0.5000 0.5000 0.5000
Au1 0.7500 0.7500 0.7500
Au2 0.2500 0.2500 0.2500
Nd1 0.0000 0.0000 0.0000

Calculated values
The formation enthalpy at 0 K comes out at -228 kJ/mol of formula units. As for the total energy: -3.7516 eV per atom.

[6]
The following is a PBE calculation of crystalline La3AgSnS7 at its relaxed geometry, from Materials Project.

a b c (Å): 10.4768 10.4768 6.0714
angles (deg): 90.00 90.00 120.00
Sites, in units of the cell vectors:
S1 0.6667 0.3333 0.7657
S2 0.8987 0.7323 0.0552
S3 0.5778 0.4841 0.3278
S4 0.4222 0.5159 0.8278
S5 0.8336 0.1013 0.0552
S6 0.4841 0.9063 0.8278
S7 0.1664 0.8987 0.5552
S8 0.2677 0.1664 0.0552
S9 0.5159 0.0937 0.3278
S10 0.0937 0.5778 0.8278
S11 0.3333 0.6667 0.2657
S12 0.9063 0.4222 0.3278
S13 0.7323 0.8336 0.5552
S14 0.1013 0.2677 0.5552
Sn1 0.3333 0.6667 0.6575
Sn2 0.6667 0.3333 0.1575
La1 0.3588 0.2269 0.5819
La2 0.6412 0.7731 0.0819
La3 0.1319 0.3588 0.0819
La4 0.7731 0.1319 0.5819
La5 0.8681 0.6412 0.5819
La6 0.2269 0.8681 0.0819
Ag1 0.0000 0.0000 0.0025
Ag2 0.0000 0.0000 0.5025

Calculated values
For the energy with MP2020 corrections, the calculation gives -144.29 eV per cell. The formation enthalpy at 0 K comes out at -2078 kJ/mol of formula units. As for the total energy: -5.7187 eV per atom.